Arrangement P

# Li4Co3O7 | the Materials Project | PBE+U | relaxed
data_Li4Co3O7
_space_group_name_H-M_alt 'P 1'
_space_group_IT_number 1
_cell_length_a 5.101
_cell_length_b 5.149
_cell_length_c 10.015
_cell_angle_alpha 99.29
_cell_angle_beta 101.61
_cell_angle_gamma 99.61
loop_
_space_group_symop_operation_xyz
'x,y,z'
loop_
_atom_site_label
_atom_site_fract_x
_atom_site_fract_y
_atom_site_fract_z
Li1 0.000 0.000 0.000
Li2 0.000 0.000 0.500
Li3 0.150 0.287 0.285
Li4 0.283 0.583 0.570
Li5 0.431 0.866 0.859
Li6 0.569 0.134 0.141
Li7 0.717 0.417 0.430
Li8 0.850 0.713 0.715
Co1 0.141 0.279 0.777
Co2 0.285 0.574 0.069
Co3 0.435 0.863 0.361
Co4 0.565 0.137 0.639
Co5 0.715 0.426 0.931
Co6 0.859 0.721 0.223
O1 0.079 0.638 0.901
O2 0.088 0.655 0.382
O3 0.221 0.917 0.192
O4 0.249 0.954 0.677
O5 0.351 0.231 0.960
O6 0.380 0.187 0.469
O7 0.495 0.535 0.254
O8 0.505 0.465 0.746
O9 0.620 0.813 0.531
O10 0.649 0.769 0.040
O11 0.751 0.046 0.323
O12 0.779 0.083 0.808
O13 0.912 0.345 0.618
O14 0.921 0.362 0.099
# Symmetry   P-1, No. 2
# Density   4.226 g/cm³

Arrangement Q

# Li4Co3O7 | the Materials Project | PBE+U | relaxed
data_Li4Co3O7
_space_group_name_H-M_alt 'P 1'
_space_group_IT_number 1
_cell_length_a 5.865
_cell_length_b 6.565
_cell_length_c 7.673
_cell_angle_alpha 114.88
_cell_angle_beta 99.97
_cell_angle_gamma 103.98
loop_
_space_group_symop_operation_xyz
'x,y,z'
loop_
_atom_site_label
_atom_site_fract_x
_atom_site_fract_y
_atom_site_fract_z
Li1 0.000 0.000 0.000
Li2 0.071 0.582 0.720
Li3 0.208 0.715 0.133
Li4 0.356 0.859 0.568
Li5 0.500 0.000 0.000
Li6 0.644 0.141 0.432
Li7 0.792 0.285 0.867
Li8 0.929 0.418 0.280
Co1 0.138 0.143 0.427
Co2 0.280 0.284 0.865
Co3 0.426 0.419 0.282
Co4 0.574 0.581 0.718
Co5 0.720 0.716 0.135
Co6 0.862 0.857 0.573
O1 0.028 0.811 0.371
O2 0.125 0.364 0.068
O3 0.154 0.930 0.765
O4 0.249 0.475 0.495
O5 0.316 0.092 0.240
O6 0.403 0.648 0.932
O7 0.438 0.227 0.637
O8 0.562 0.773 0.363
O9 0.597 0.352 0.068
O10 0.684 0.908 0.760
O11 0.751 0.525 0.505
O12 0.846 0.070 0.235
O13 0.875 0.636 0.932
O14 0.972 0.189 0.629
# Symmetry   P-1, No. 2
# Density   4.255 g/cm³

Arrangement R

# Li4Co3O7 | the Materials Project | PBE+U | relaxed
data_Li4Co3O7
_space_group_name_H-M_alt 'P 1'
_space_group_IT_number 1
_cell_length_a 2.986
_cell_length_b 5.072
_cell_length_c 16.978
_cell_angle_alpha 85.13
_cell_angle_beta 88.26
_cell_angle_gamma 75.40
loop_
_space_group_symop_operation_xyz
'x,y,z'
loop_
_atom_site_label
_atom_site_fract_x
_atom_site_fract_y
_atom_site_fract_z
Li1 0.000 0.000 0.000
Li2 0.000 0.000 0.500
Li3 0.149 0.716 0.286
Li4 0.294 0.415 0.572
Li5 0.432 0.141 0.857
Li6 0.568 0.859 0.143
Li7 0.706 0.585 0.428
Li8 0.851 0.284 0.714
Co1 0.155 0.714 0.785
Co2 0.280 0.427 0.072
Co3 0.432 0.141 0.363
Co4 0.568 0.859 0.637
Co5 0.720 0.573 0.928
Co6 0.845 0.286 0.215
O1 0.095 0.842 0.888
O2 0.096 0.883 0.390
O3 0.171 0.558 0.177
O4 0.232 0.592 0.682
O5 0.350 0.299 0.968
O6 0.356 0.285 0.454
O7 0.489 0.970 0.744
O8 0.511 0.030 0.256
O9 0.644 0.715 0.546
O10 0.650 0.701 0.032
O11 0.768 0.408 0.318
O12 0.829 0.442 0.823
O13 0.904 0.117 0.610
O14 0.905 0.158 0.112
# Symmetry   P-1, No. 2
# Density   4.241 g/cm³

Stability ranking, top entry: arrangement P; the second entry is 38 meV/atom less favorable.

Arrangement P

# LiMnP4O12 | the Materials Project | PBE+U | relaxed
data_LiMnP4O12
_space_group_name_H-M_alt 'P 1'
_space_group_IT_number 1
_cell_length_a 7.327
_cell_length_b 7.327
_cell_length_c 9.889
_cell_angle_alpha 113.69
_cell_angle_beta 113.69
_cell_angle_gamma 67.92
loop_
_space_group_symop_operation_xyz
'x,y,z'
loop_
_atom_site_label
_atom_site_fract_x
_atom_site_fract_y
_atom_site_fract_z
Li1 0.000 0.500 0.000
Li2 0.500 0.000 0.500
Mn1 0.054 0.946 0.250
Mn2 0.946 0.054 0.750
P1 0.248 0.730 0.521
P2 0.270 0.752 0.979
P3 0.292 0.308 0.301
P4 0.308 0.292 0.801
P5 0.692 0.708 0.199
P6 0.708 0.692 0.699
P7 0.730 0.248 0.021
P8 0.752 0.270 0.479
O1 0.080 0.852 0.596
O2 0.123 0.278 0.823
O3 0.148 0.920 0.904
O4 0.189 0.734 0.092
O5 0.191 0.351 0.151
O6 0.217 0.503 0.441
O7 0.266 0.811 0.408
O8 0.278 0.123 0.323
O9 0.301 0.536 0.849
O10 0.351 0.191 0.651
O11 0.464 0.699 0.651
O12 0.497 0.783 0.059
O13 0.503 0.217 0.941
O14 0.536 0.301 0.349
O15 0.649 0.809 0.349
O16 0.699 0.464 0.151
O17 0.722 0.877 0.677
O18 0.734 0.189 0.592
O19 0.783 0.497 0.559
O20 0.809 0.649 0.849
O21 0.811 0.266 0.908
O22 0.852 0.080 0.096
O23 0.877 0.722 0.177
O24 0.920 0.148 0.404
# Symmetry   C2/c, No. 15
# Density   2.915 g/cm³

Arrangement Q

# LiMnP4O12 | the Materials Project | PBE+U | relaxed
data_LiMnP4O12
_space_group_name_H-M_alt 'P 1'
_space_group_IT_number 1
_cell_length_a 8.696
_cell_length_b 8.696
_cell_length_c 9.168
_cell_angle_alpha 117.80
_cell_angle_beta 117.80
_cell_angle_gamma 54.49
loop_
_space_group_symop_operation_xyz
'x,y,z'
loop_
_atom_site_label
_atom_site_fract_x
_atom_site_fract_y
_atom_site_fract_z
Li1 0.000 0.000 0.000
Li2 0.000 0.000 0.500
Mn1 0.324 0.676 0.750
Mn2 0.676 0.324 0.250
P1 0.051 0.654 0.896
P2 0.302 0.427 0.362
P3 0.346 0.949 0.604
P4 0.427 0.302 0.862
P5 0.573 0.698 0.138
P6 0.654 0.051 0.396
P7 0.698 0.573 0.638
P8 0.949 0.346 0.104
O1 0.022 0.799 0.064
O2 0.078 0.720 0.786
O3 0.131 0.395 0.203
O4 0.201 0.978 0.436
O5 0.207 0.588 0.506
O6 0.224 0.436 0.914
O7 0.280 0.922 0.714
O8 0.395 0.131 0.703
O9 0.410 0.462 0.304
O10 0.412 0.793 0.994
O11 0.436 0.224 0.414
O12 0.462 0.410 0.804
O13 0.538 0.590 0.196
O14 0.564 0.776 0.586
O15 0.588 0.207 0.006
O16 0.590 0.538 0.696
O17 0.605 0.869 0.297
O18 0.720 0.078 0.286
O19 0.776 0.564 0.086
O20 0.793 0.412 0.494
O21 0.799 0.022 0.564
O22 0.869 0.605 0.797
O23 0.922 0.280 0.214
O24 0.978 0.201 0.936
# Symmetry   C2/c, No. 15
# Density   2.611 g/cm³

Stability ranking, top entry: arrangement P; the second entry is 51 meV/atom less favorable.

Arrangement P

# LiMnP4O12 | the Materials Project | PBE+U | relaxed
data_LiMnP4O12
_space_group_name_H-M_alt 'P 1'
_space_group_IT_number 1
_cell_length_a 7.371
_cell_length_b 13.052
_cell_length_c 11.949
_cell_angle_alpha 90.00
_cell_angle_beta 127.61
_cell_angle_gamma 90.00
loop_
_space_group_symop_operation_xyz
'x,y,z'
loop_
_atom_site_label
_atom_site_fract_x
_atom_site_fract_y
_atom_site_fract_z
Li1 0.048 0.212 0.026
Li2 0.048 0.288 0.526
Li3 0.952 0.712 0.474
Li4 0.952 0.788 0.974
Mn1 0.435 0.211 0.931
Mn2 0.435 0.289 0.431
Mn3 0.565 0.711 0.569
Mn4 0.565 0.789 0.069
P1 0.065 0.098 0.770
P2 0.065 0.402 0.270
P3 0.180 0.622 0.256
P4 0.180 0.878 0.756
P5 0.418 0.627 0.804
P6 0.418 0.873 0.304
P7 0.460 0.093 0.291
P8 0.460 0.407 0.791
P9 0.540 0.593 0.209
P10 0.540 0.907 0.709
P11 0.582 0.127 0.696
P12 0.582 0.373 0.196
P13 0.820 0.122 0.244
P14 0.820 0.378 0.744
P15 0.935 0.598 0.730
P16 0.935 0.902 0.230
O1 0.033 0.694 0.137
O2 0.033 0.806 0.637
O3 0.040 0.514 0.214
O4 0.040 0.986 0.714
O5 0.159 0.175 0.720
O6 0.159 0.325 0.220
O7 0.187 0.622 0.794
O8 0.187 0.878 0.294
O9 0.212 0.105 0.174
O10 0.212 0.395 0.674
O11 0.237 0.107 0.932
O12 0.237 0.393 0.432
O13 0.265 0.650 0.403
O14 0.265 0.850 0.903
O15 0.355 0.636 0.661
O16 0.355 0.864 0.161
O17 0.398 0.584 0.269
O18 0.398 0.916 0.769
O19 0.426 0.672 0.090
O20 0.426 0.828 0.590
O21 0.433 0.206 0.585
O22 0.433 0.294 0.085
O23 0.473 0.016 0.626
O24 0.473 0.484 0.126
O25 0.527 0.516 0.874
O26 0.527 0.984 0.374
O27 0.567 0.706 0.915
O28 0.567 0.794 0.415
O29 0.574 0.172 0.410
O30 0.574 0.328 0.910
O31 0.602 0.084 0.231
O32 0.602 0.416 0.731
O33 0.645 0.136 0.839
O34 0.645 0.364 0.339
O35 0.735 0.150 0.097
O36 0.735 0.350 0.597
O37 0.763 0.607 0.568
O38 0.763 0.893 0.068
O39 0.788 0.605 0.326
O40 0.788 0.895 0.826
O41 0.813 0.122 0.706
O42 0.813 0.378 0.206
O43 0.841 0.675 0.780
O44 0.841 0.825 0.280
O45 0.960 0.014 0.286
O46 0.960 0.486 0.786
O47 0.967 0.194 0.363
O48 0.967 0.306 0.863
# Symmetry   P2_1/c, No. 14
# Density   2.755 g/cm³

Arrangement Q

# LiMnP4O12 | the Materials Project | PBE+U | relaxed
data_LiMnP4O12
_space_group_name_H-M_alt 'P 1'
_space_group_IT_number 1
_cell_length_a 7.369
_cell_length_b 9.291
_cell_length_c 15.119
_cell_angle_alpha 90.00
_cell_angle_beta 113.52
_cell_angle_gamma 90.00
loop_
_space_group_symop_operation_xyz
'x,y,z'
loop_
_atom_site_label
_atom_site_fract_x
_atom_site_fract_y
_atom_site_fract_z
Li1 0.116 0.071 0.088
Li2 0.116 0.429 0.588
Li3 0.884 0.571 0.412
Li4 0.884 0.929 0.912
Mn1 0.338 0.654 0.858
Mn2 0.338 0.846 0.358
Mn3 0.662 0.154 0.642
Mn4 0.662 0.346 0.142
P1 0.077 0.052 0.803
P2 0.077 0.448 0.303
P3 0.227 0.734 0.042
P4 0.227 0.766 0.542
P5 0.349 0.548 0.216
P6 0.349 0.952 0.716
P7 0.358 0.223 0.426
P8 0.358 0.277 0.926
P9 0.642 0.723 0.074
P10 0.642 0.777 0.574
P11 0.651 0.048 0.284
P12 0.651 0.452 0.784
P13 0.773 0.234 0.458
P14 0.773 0.266 0.958
P15 0.923 0.552 0.697
P16 0.923 0.948 0.197
O1 0.047 0.593 0.337
O2 0.047 0.907 0.837
O3 0.099 0.638 0.535
O4 0.099 0.862 0.035
O5 0.104 0.648 0.743
O6 0.104 0.852 0.243
O7 0.192 0.058 0.733
O8 0.192 0.442 0.233
O9 0.200 0.619 0.114
O10 0.200 0.881 0.614
O11 0.201 0.655 0.949
O12 0.201 0.845 0.449
O13 0.225 0.136 0.899
O14 0.225 0.364 0.399
O15 0.263 0.096 0.366
O16 0.263 0.404 0.866
O17 0.424 0.209 0.535
O18 0.424 0.291 0.035
O19 0.429 0.657 0.295
O20 0.429 0.843 0.795
O21 0.456 0.717 0.595
O22 0.456 0.783 0.095
O23 0.498 0.048 0.700
O24 0.498 0.452 0.200
O25 0.502 0.548 0.800
O26 0.502 0.952 0.300
O27 0.544 0.217 0.905
O28 0.544 0.283 0.405
O29 0.571 0.157 0.205
O30 0.571 0.343 0.705
O31 0.576 0.709 0.965
O32 0.576 0.791 0.465
O33 0.737 0.596 0.134
O34 0.737 0.904 0.634
O35 0.775 0.636 0.601
O36 0.775 0.864 0.101
O37 0.799 0.155 0.551
O38 0.799 0.345 0.051
O39 0.800 0.119 0.386
O40 0.800 0.381 0.886
O41 0.808 0.558 0.767
O42 0.808 0.942 0.267
O43 0.896 0.148 0.757
O44 0.896 0.352 0.257
O45 0.901 0.138 0.965
O46 0.901 0.362 0.465
O47 0.953 0.093 0.163
O48 0.953 0.407 0.663
# Symmetry   P2_1/c, No. 14
# Density   2.644 g/cm³

Stability ranking, top entry: arrangement Q; the second entry is 21 meV/atom less favorable.